VASP calculation (PBE-GGA) on a relaxed structure of Na4Zr2Ge3O12.

The calculation puts the electronic total energy at -6.775 eV/atom. The value obtained for the formation enthalpy at 0 K is -2.61 eV per atom. The corrected total energy (MP2020 scheme) is -903.113 eV per cell. As for the crystal system: trigonal.

It has space group R-3 (No. 148, hexagonal axes), with a = 9.6054 Å, b = 9.6054 Å, c = 22.7233 Å, α = 90.00°, β = 90.00° and γ = 120.00°. The distinct sites, in fractional coordinates, are Na at (0.0000, 0.0000, 0.0000), Na at (0.0000, 0.0000, 0.5000), Na at (0.0024, 0.6232, 0.2478), Zr at (0.0000, 0.0000, 0.1445), Zr at (0.0000, 0.0000, 0.3558), Ge at (0.0001, 0.2949, 0.2503), O at (0.0122, 0.8171, 0.6864), O at (0.0136, 0.8369, 0.4189), O at (0.0213, 0.1987, 0.1874) and O at (0.0263, 0.1822, 0.9182).